Entry 1:
A geometry-optimized Cs4BaV6O18 structure. Source: the Materials Project database, functional PBE with a Hubbard U.

abc: 14.2268 14.2268 20.4240
angles: 90.00 90.00 120.00
Space group R3c (No. 161, hexagonal axes)
Inequivalent atoms, fractional coordinates:
Cs (0.0000, 0.0000, 0.0000) x6
Cs (0.0799, 0.3407, 0.3286) x18
Ba (0.0000, 0.0000, 0.2695) x6
V (0.0569, 0.2576, 0.1349) x18
V (0.1450, 0.4210, 0.5250) x18
O (0.0001, 0.3423, 0.5087) x18
O (0.0359, 0.1522, 0.8759) x18
O (0.0878, 0.1899, 0.1910) x18
O (0.1641, 0.4672, 0.7476) x18
O (0.1795, 0.3583, 0.0921) x18
O (0.2141, 0.4290, 0.9569) x18

Values from the calculation:
* magnetization: 0.00 Bohr magnetons per cell
* crystal system: trigonal
* formation enthalpy at 0 K: -2.519 eV/atom



Entry 2:
A geometry-optimized Ba4Dy2Cu6NiO15 structure. Source: the Materials Project database, functional PBE with a Hubbard U.

abc: 3.9159 3.8893 50.7391
angles: 90.00 90.00 90.00
Space group Amm2 (No. 38)
Inequivalent atoms, fractional coordinates:
Ba (0.0000, 0.0000, 0.0000) x2
Ba (0.0000, 0.0000, 0.0837) x2
Ba (0.0000, 0.0000, 0.2303) x2
Ba (0.0000, 0.0000, 0.8537) x2
Dy (0.0000, 0.0000, 0.1572) x2
Dy (0.0000, 0.0000, 0.9273) x2
Cu (0.5000, 0.0000, 0.3123) x2
Cu (0.5000, 0.0000, 0.3930) x2
Cu (0.5000, 0.0000, 0.5416) x2
Cu (0.5000, 0.0000, 0.6237) x2
Cu (0.5000, 0.0000, 0.6907) x2
Cu (0.5000, 0.0000, 0.7715) x2
Ni (0.5000, 0.0000, 0.4624) x2
O (0.0000, 0.0000, 0.3976) x2
O (0.0000, 0.0000, 0.4541) x2
O (0.0000, 0.0000, 0.5417) x2
O (0.0000, 0.0000, 0.6296) x2
O (0.0000, 0.0000, 0.6860) x2
O (0.5000, 0.0000, 0.1292) x2
O (0.5000, 0.0000, 0.1851) x2
O (0.5000, 0.0000, 0.2749) x2
O (0.5000, 0.0000, 0.3486) x2
O (0.5000, 0.0000, 0.5037) x2
O (0.5000, 0.0000, 0.5787) x2
O (0.5000, 0.0000, 0.7352) x2
O (0.5000, 0.0000, 0.8090) x2
O (0.5000, 0.0000, 0.8985) x2
O (0.5000, 0.0000, 0.9545) x2

Values from the calculation:
* magnetization: 3.38 Bohr magnetons per cell
* crystal system: orthorhombic
* formation enthalpy at 0 K: -2.125 eV/atom



Entry 3:
A geometry-optimized BaEuFeCuO5 structure. Source: the Materials Project database, functional PBE with a Hubbard U.

abc: 3.9304 3.9304 7.8810
angles: 90.00 90.00 90.00
Space group P4mm (No. 99)
Inequivalent atoms, fractional coordinates:
Ba (0.0000, 0.0000, 0.0000) x1
Eu (0.0000, 0.0000, 0.4749) x1
Fe (0.5000, 0.5000, 0.7242) x1
Cu (0.5000, 0.5000, 0.2520) x1
O (0.0000, 0.5000, 0.2798) x2
O (0.0000, 0.5000, 0.6634) x2
O (0.5000, 0.5000, 0.9604) x1

Values from the calculation:
* magnetization: 11.05 Bohr magnetons per cell
* crystal system: tetragonal
* formation enthalpy at 0 K: -2.262 eV/atom



Entry 4:
A geometry-optimized Ba2Eu3Mn2Cu2O12 structure. Source: the Materials Project database, functional PBE with a Hubbard U.

abc: 3.9051 3.9051 36.1545
angles: 90.00 90.00 90.00
Space group I4/mmm (No. 139)
Inequivalent atoms, fractional coordinates:
Ba (0.0000, 0.0000, 0.1048) x4
Eu (0.0000, 0.0000, 0.0000) x2
Eu (0.0000, 0.0000, 0.2131) x4
Mn (0.0000, 0.0000, 0.3345) x4
Cu (0.0000, 0.0000, 0.4517) x4
O (0.0000, 0.0000, 0.2770) x4
O (0.0000, 0.0000, 0.3864) x4
O (0.0000, 0.5000, 0.0422) x8
O (0.0000, 0.5000, 0.1704) x8

Values from the calculation:
* magnetization: 50.38 Bohr magnetons per cell
* crystal system: tetragonal
* formation enthalpy at 0 K: -2.456 eV/atom